# Na14Zn6Si5Ge2S7O48

Crystalline Na14Zn6Si5Ge2S7O48 at its relaxed geometry (PBE, Materials Project).

Lattice parameters (Å, degrees): 18.069 9.087 22.017 90.03 90.07 120.54
Sites, in units of the cell vectors:
Na1 0.812 0.007 0.248
Na2 0.688 0.363 0.247
Na3 0.499 0.638 0.245
Na4 0.310 0.615 0.749
Na5 0.999 0.365 0.744
Na6 0.181 0.997 0.745
Na7 0.152 0.331 0.575
Na8 0.668 0.363 0.584
Na9 0.014 0.690 0.573
Na10 0.520 0.685 0.592
Na11 0.326 0.979 0.584
Na12 0.827 0.969 0.593
Na13 0.164 0.968 0.078
Na14 0.657 0.982 0.070
Na15 0.323 0.685 0.087
Na16 0.827 0.674 0.080
Na17 0.019 0.355 0.087
Na18 0.514 0.335 0.068
Na19 0.485 0.666 0.920
Na20 0.978 0.661 0.914
Na21 0.355 0.045 0.923
Na22 0.848 0.042 0.912
Na23 0.166 0.291 0.915
Na24 0.663 0.289 0.925
Na25 0.480 0.302 0.426
Na26 0.985 0.306 0.424
Na27 0.161 0.034 0.428
Na28 0.670 0.047 0.421
Na29 0.346 0.654 0.417
Na30 0.855 0.664 0.425
Na31 0.004 0.991 0.499
Na32 0.505 0.011 0.504
Na33 0.004 0.998 0.997
Na34 0.504 0.019 0.995
Na35 0.340 0.335 0.830
Na36 0.826 0.330 0.826
Na37 0.318 0.323 0.331
Na38 0.842 0.346 0.331
Na39 0.168 0.671 0.163
Na40 0.667 0.663 0.163
Na41 0.161 0.671 0.667
Na42 0.670 0.666 0.665
Zn1 0.009 0.007 0.355
Zn2 0.504 0.005 0.339
Zn3 0.003 0.986 0.829
Zn4 0.509 0.011 0.855
Zn5 0.328 0.316 0.678
Zn6 0.830 0.349 0.681
Zn7 0.318 0.309 0.172
Zn8 0.828 0.339 0.177
Zn9 0.333 0.306 0.990
Zn10 0.825 0.336 0.989
Zn11 0.326 0.319 0.493
Zn12 0.833 0.358 0.497
Zn13 0.166 0.666 0.024
Zn14 0.660 0.651 0.010
Zn15 0.158 0.667 0.512
Zn16 0.667 0.673 0.528
Zn17 0.664 0.681 0.315
Zn18 0.157 0.644 0.809
Si1 0.648 0.003 0.249
Si2 0.148 0.289 0.748
Si3 0.995 0.685 0.753
Si4 0.478 0.330 0.584
Si5 0.182 0.023 0.584
Si6 0.688 0.050 0.585
Si7 0.839 0.648 0.586
Si8 0.977 0.623 0.084
Si9 0.339 0.034 0.087
Si10 0.186 0.331 0.083
Si11 0.681 0.340 0.086
Si12 0.517 0.373 0.914
Si13 0.671 0.967 0.921
Si14 0.170 0.374 0.421
Si15 0.015 0.661 0.416
Ge1 0.012 0.978 0.650
Ge2 0.511 0.034 0.648
Ge3 0.011 0.990 0.146
Ge4 0.506 0.012 0.147
Ge5 0.158 0.636 0.324
Ge6 0.665 0.687 0.822
S1 0.149 0.990 0.252
S2 0.348 0.704 0.251
S3 0.857 0.718 0.251
S4 0.007 0.297 0.252
S5 0.499 0.296 0.251
S6 0.647 0.309 0.752
S7 0.507 0.718 0.751
S8 0.361 0.999 0.750
S9 0.843 0.982 0.755
S10 0.982 0.325 0.585
S11 0.339 0.643 0.586
S12 0.481 0.639 0.088
S13 0.838 0.033 0.087
S14 0.311 0.665 0.915
S15 0.812 0.671 0.914
S16 0.017 0.366 0.918
S17 0.167 0.958 0.916
S18 0.314 0.954 0.411
S19 0.812 0.961 0.415
S20 0.663 0.375 0.413
S21 0.518 0.668 0.416
O1 0.104 0.002 0.304
O2 0.611 0.036 0.311
O3 0.398 0.790 0.308
O4 0.902 0.811 0.306
O5 0.487 0.198 0.307
O6 0.999 0.195 0.306
O7 0.109 0.187 0.812
O8 0.602 0.208 0.805
O9 0.498 0.803 0.806
O10 0.980 0.761 0.816
O11 0.407 0.002 0.805
O12 0.894 0.999 0.810
O13 0.406 0.977 0.694
O14 0.883 0.961 0.699
O15 0.076 0.179 0.690
O16 0.593 0.225 0.694
O17 0.014 0.821 0.695
O18 0.516 0.821 0.695
O19 0.393 0.807 0.196
O20 0.900 0.826 0.194
O21 0.016 0.216 0.195
O22 0.508 0.204 0.197
O23 0.097 0.971 0.193
O24 0.576 0.968 0.193
O25 0.435 0.380 0.638
O26 0.941 0.341 0.640
O27 0.239 0.100 0.645
O28 0.753 0.134 0.641
O29 0.326 0.540 0.641
O30 0.813 0.512 0.638
O31 0.440 0.540 0.144
O32 0.935 0.492 0.139
O33 0.324 0.123 0.144
O34 0.826 0.110 0.142
O35 0.248 0.389 0.141
O36 0.737 0.376 0.147
O37 0.221 0.276 0.024
O38 0.716 0.287 0.027
O39 0.432 0.555 0.033
O40 0.918 0.560 0.021
O41 0.369 0.152 0.026
O42 0.851 0.136 0.032
O43 0.217 0.144 0.524
O44 0.719 0.164 0.522
O45 0.352 0.566 0.530
O46 0.869 0.591 0.524
O47 0.420 0.278 0.521
O48 0.932 0.313 0.529
O49 0.271 0.685 0.970
O50 0.774 0.685 0.972
O51 0.071 0.453 0.971
O52 0.573 0.441 0.976
O53 0.163 0.863 0.971
O54 0.657 0.851 0.981
O55 0.279 0.863 0.469
O56 0.768 0.853 0.468
O57 0.159 0.467 0.480
O58 0.659 0.462 0.468
O59 0.074 0.708 0.475
O60 0.572 0.690 0.468
O61 0.066 0.623 0.357
O62 0.556 0.652 0.358
O63 0.254 0.860 0.358
O64 0.764 0.882 0.357
O65 0.191 0.506 0.360
O66 0.668 0.472 0.357
O67 0.058 0.461 0.861
O68 0.572 0.517 0.857
O69 0.172 0.871 0.860
O70 0.692 0.877 0.861
O71 0.261 0.650 0.859
O72 0.754 0.647 0.861
O73 0.004 0.827 0.407
O74 0.507 0.822 0.414
O75 0.400 0.971 0.405
O76 0.900 0.982 0.413
O77 0.081 0.191 0.414
O78 0.583 0.201 0.413
O79 0.005 0.190 0.916
O80 0.504 0.183 0.907
O81 0.089 0.975 0.917
O82 0.582 0.974 0.914
O83 0.399 0.818 0.912
O84 0.896 0.830 0.910
O85 0.483 0.149 0.594
O86 0.988 0.168 0.585
O87 0.087 0.013 0.590
O88 0.588 0.030 0.596
O89 0.421 0.817 0.591
O90 0.925 0.846 0.599
O91 0.486 0.810 0.089
O92 0.982 0.816 0.094
O93 0.424 0.002 0.098
O94 0.920 0.023 0.091
O95 0.087 0.148 0.094
O96 0.585 0.157 0.093
O97 0.354 0.152 0.747
O98 0.833 0.131 0.752
O99 0.244 0.312 0.742
O100 0.729 0.317 0.748
O101 0.429 0.549 0.748
O102 0.917 0.491 0.744
O103 0.345 0.537 0.250
O104 0.849 0.549 0.250
O105 0.428 0.330 0.246
O106 0.930 0.313 0.249
O107 0.233 0.147 0.247
O108 0.745 0.169 0.242
O109 0.319 0.509 0.917
O110 0.820 0.518 0.912
O111 0.425 0.366 0.916
O112 0.932 0.353 0.921
O113 0.246 0.132 0.915
O114 0.756 0.158 0.921
O115 0.322 0.124 0.410
O116 0.820 0.132 0.419
O117 0.256 0.356 0.420
O118 0.740 0.356 0.412
O119 0.432 0.511 0.419
O120 0.922 0.483 0.417
O121 0.164 0.482 0.075
O122 0.669 0.505 0.080
O123 0.076 0.669 0.078
O124 0.570 0.667 0.086
O125 0.256 0.845 0.080
O126 0.763 0.858 0.082
O127 0.170 0.833 0.579
O128 0.666 0.854 0.578
O129 0.264 0.669 0.581
O130 0.759 0.677 0.577
O131 0.070 0.478 0.583
O132 0.577 0.484 0.578
O133 0.156 0.834 0.252
O134 0.652 0.825 0.248
O135 0.261 0.687 0.252
O136 0.769 0.696 0.249
O137 0.089 0.474 0.254
O138 0.582 0.463 0.251
O139 0.156 0.476 0.746
O140 0.655 0.479 0.752
O141 0.088 0.691 0.751
O142 0.587 0.707 0.753
O143 0.274 0.843 0.747
O144 0.754 0.813 0.758

Output
Calculated formation energy in eV per atom: -2.179